Gd6Mo10O39: optimized geometry, PBE with a Hubbard U.

Summary:
Total moment in μB/f.u.: 42.00
Crystal system: monoclinic

Unit cell a=11.761 b=11.761 c=14.022 alpha=95.97 beta=95.97 gamma=115.90
Atoms (fractional coordinates):
Gd 0.028 0.143 0.084
Gd 0.143 0.028 0.584
Gd 0.217 0.528 0.854
Gd 0.265 0.561 0.415
Gd 0.439 0.735 0.085
Gd 0.472 0.783 0.646
Gd 0.528 0.217 0.354
Gd 0.561 0.265 0.915
Gd 0.735 0.439 0.585
Gd 0.783 0.472 0.146
Gd 0.857 0.972 0.416
Gd 0.972 0.857 0.916
Mo 0.069 0.759 0.340
Mo 0.114 0.680 0.639
Mo 0.116 0.496 0.118
Mo 0.185 0.185 0.361
Mo 0.185 0.185 0.861
Mo 0.241 0.931 0.160
Mo 0.320 0.886 0.861
Mo 0.385 0.427 0.638
Mo 0.427 0.385 0.138
Mo 0.496 0.116 0.618
Mo 0.504 0.884 0.382
Mo 0.573 0.615 0.862
Mo 0.615 0.573 0.362
Mo 0.680 0.114 0.139
Mo 0.759 0.069 0.840
Mo 0.815 0.815 0.139
Mo 0.815 0.815 0.639
Mo 0.884 0.504 0.882
Mo 0.886 0.320 0.361
Mo 0.931 0.241 0.660
O 0.003 0.560 0.123
O 0.024 0.328 0.077
O 0.041 0.443 0.417
O 0.062 0.846 0.447
O 0.078 0.079 0.435
O 0.079 0.078 0.935
O 0.080 0.375 0.703
O 0.103 0.829 0.645
O 0.119 0.131 0.234
O 0.125 0.875 0.250
O 0.131 0.119 0.734
O 0.143 0.642 0.759
O 0.154 0.938 0.053
O 0.171 0.897 0.855
O 0.174 0.329 0.888
O 0.186 0.705 0.366
O 0.202 0.521 0.236
O 0.216 0.347 0.389
O 0.226 0.564 0.032
O 0.234 0.675 0.570
O 0.265 0.275 0.086
O 0.275 0.265 0.586
O 0.295 0.814 0.134
O 0.325 0.766 0.930
O 0.328 0.024 0.577
O 0.329 0.174 0.388
O 0.340 0.455 0.756
O 0.347 0.216 0.889
O 0.358 0.857 0.741
O 0.371 0.542 0.564
O 0.375 0.080 0.203
O 0.433 0.539 0.140
O 0.436 0.774 0.468
O 0.440 0.997 0.377
O 0.443 0.041 0.917
O 0.455 0.340 0.256
O 0.458 0.629 0.936
O 0.461 0.567 0.360
O 0.479 0.798 0.264
O 0.521 0.202 0.736
O 0.539 0.433 0.640
O 0.542 0.371 0.064
O 0.545 0.660 0.744
O 0.557 0.959 0.083
O 0.560 0.003 0.623
O 0.564 0.226 0.532
O 0.567 0.461 0.860
O 0.625 0.920 0.797
O 0.629 0.458 0.436
O 0.642 0.143 0.259
O 0.653 0.784 0.111
O 0.660 0.545 0.244
O 0.671 0.826 0.612
O 0.672 0.976 0.423
O 0.675 0.234 0.070
O 0.705 0.186 0.866
O 0.725 0.735 0.414
O 0.735 0.725 0.914
O 0.766 0.325 0.430
O 0.774 0.436 0.968
O 0.784 0.653 0.611
O 0.798 0.479 0.764
O 0.814 0.295 0.634
O 0.826 0.671 0.112
O 0.829 0.103 0.145
O 0.846 0.062 0.947
O 0.857 0.358 0.241
O 0.869 0.881 0.266
O 0.875 0.125 0.750
O 0.881 0.869 0.766
O 0.897 0.171 0.355
O 0.920 0.625 0.297
O 0.921 0.922 0.065
O 0.922 0.921 0.565
O 0.938 0.154 0.553
O 0.959 0.557 0.583
O 0.976 0.672 0.923
O 0.997 0.440 0.877

MgCr2Fe2O8: optimized geometry, PBE with a Hubbard U.

Summary:
Total moment in μB/f.u.: 6.05
Crystal system: monoclinic

Unit cell a=5.105 b=6.147 c=5.124 alpha=90.00 beta=114.55 gamma=90.00
Atoms (fractional coordinates):
Mg 0.000 0.000 0.000
Cr 0.671 0.000 0.326
Cr 0.975 0.500 0.013
Fe 0.334 0.254 0.658
Fe 0.334 0.746 0.658
O 0.078 0.000 0.430
O 0.110 0.273 0.880
O 0.110 0.727 0.880
O 0.116 0.500 0.398
O 0.551 0.226 0.441
O 0.551 0.774 0.441
O 0.571 0.000 0.924
O 0.583 0.500 0.865

Li9Mn2Co5O16: optimized geometry, PBE with a Hubbard U.

Summary:
Total moment in μB/f.u.: 6.00
Crystal system: monoclinic

Unit cell a=7.763 b=7.763 c=5.092 alpha=104.19 beta=104.19 gamma=95.92
Atoms (fractional coordinates):
Li 0.000 0.000 0.000
Li 0.000 0.500 0.500
Li 0.114 0.362 0.001
Li 0.236 0.236 0.483
Li 0.362 0.114 0.001
Li 0.500 0.000 0.500
Li 0.638 0.886 0.999
Li 0.764 0.764 0.517
Li 0.886 0.638 0.999
Mn 0.373 0.627 0.500
Mn 0.627 0.373 0.500
Co 0.121 0.879 0.500
Co 0.248 0.752 0.000
Co 0.500 0.500 0.000
Co 0.752 0.248 0.000
Co 0.879 0.121 0.500
O 0.023 0.752 0.757
O 0.123 0.123 0.728
O 0.140 0.624 0.270
O 0.248 0.977 0.243
O 0.274 0.519 0.753
O 0.376 0.860 0.730
O 0.392 0.392 0.253
O 0.481 0.726 0.247
O 0.519 0.274 0.753
O 0.608 0.608 0.747
O 0.624 0.140 0.270
O 0.726 0.481 0.247
O 0.752 0.023 0.757
O 0.860 0.376 0.730
O 0.877 0.877 0.272
O 0.977 0.248 0.243

GdVSe2O8: optimized geometry, PBE with a Hubbard U.

Summary:
Total moment in μB/f.u.: 7.00
Crystal system: monoclinic

Unit cell a=6.836 b=7.059 c=13.635 alpha=90.00 beta=91.24 gamma=90.00
Atoms (fractional coordinates):
Gd 0.078 0.250 0.069
Gd 0.376 0.750 0.136
Gd 0.624 0.250 0.864
Gd 0.922 0.750 0.931
V 0.374 0.009 0.614
V 0.374 0.491 0.614
V 0.626 0.509 0.386
V 0.626 0.991 0.386
Se 0.038 0.250 0.351
Se 0.107 0.250 0.840
Se 0.207 0.750 0.407
Se 0.451 0.750 0.862
Se 0.549 0.250 0.138
Se 0.793 0.250 0.593
Se 0.893 0.750 0.160
Se 0.962 0.750 0.649
O 0.018 0.750 0.771
O 0.028 0.577 0.099
O 0.028 0.923 0.099
O 0.094 0.555 0.605
O 0.094 0.945 0.605
O 0.212 0.750 0.283
O 0.291 0.750 0.959
O 0.302 0.250 0.572
O 0.306 0.250 0.919
O 0.361 0.555 0.438
O 0.361 0.945 0.438
O 0.379 0.075 0.108
O 0.379 0.425 0.108
O 0.413 0.063 0.731
O 0.413 0.437 0.731
O 0.424 0.750 0.617
O 0.576 0.250 0.383
O 0.587 0.563 0.269
O 0.587 0.937 0.269
O 0.621 0.575 0.892
O 0.621 0.925 0.892
O 0.639 0.055 0.562
O 0.639 0.445 0.562
O 0.694 0.750 0.081
O 0.698 0.750 0.428
O 0.709 0.250 0.041
O 0.788 0.250 0.717
O 0.906 0.055 0.395
O 0.906 0.445 0.395
O 0.972 0.077 0.901
O 0.972 0.423 0.901
O 0.982 0.250 0.229

Li4V3P8O29: optimized geometry, PBE with a Hubbard U.

Summary:
Total moment in μB/f.u.: 1.00
Crystal system: triclinic

Unit cell a=9.772 b=9.789 c=14.225 alpha=89.72 beta=89.65 gamma=60.50
Atoms (fractional coordinates):
Li 0.000 0.000 0.000
Li 0.001 0.447 0.501
Li 0.041 0.701 0.064
Li 0.189 0.341 0.117
Li 0.317 0.361 0.616
Li 0.408 0.587 0.494
Li 0.427 0.436 0.006
Li 0.776 0.766 0.614
V 0.095 0.101 0.807
V 0.095 0.231 0.309
V 0.527 0.673 0.302
V 0.535 0.231 0.808
V 0.662 0.666 0.815
V 0.663 0.099 0.310
P 0.005 0.441 0.721
P 0.007 0.981 0.218
P 0.180 0.896 0.400
P 0.185 0.353 0.900
P 0.318 0.752 0.897
P 0.325 0.349 0.401
P 0.412 0.439 0.220
P 0.416 0.580 0.715
P 0.425 0.011 0.190
P 0.433 0.998 0.692
P 0.757 0.339 0.426
P 0.759 0.335 0.928
P 0.777 0.755 0.398
P 0.787 0.894 0.898
P 0.868 0.985 0.715
P 0.876 0.582 0.218
O 0.007 0.139 0.232
O 0.008 0.015 0.723
O 0.016 0.408 0.226
O 0.073 0.905 0.126
O 0.088 0.911 0.485
O 0.091 0.435 0.631
O 0.098 0.461 0.809
O 0.101 0.872 0.304
O 0.115 0.437 0.990
O 0.177 0.330 0.401
O 0.179 0.921 0.898
O 0.180 0.199 0.886
O 0.188 0.050 0.377
O 0.276 0.164 0.234
O 0.288 0.999 0.736
O 0.299 0.679 0.799
O 0.303 0.459 0.311
O 0.316 0.656 0.977
O 0.325 0.441 0.132
O 0.334 0.429 0.488
O 0.348 0.753 0.395
O 0.351 0.651 0.622
O 0.357 0.323 0.893
O 0.416 0.037 0.087
O 0.420 0.867 0.229
O 0.435 0.148 0.737
O 0.436 0.412 0.723
O 0.440 0.580 0.224
O 0.441 0.010 0.589
O 0.475 0.191 0.384
O 0.477 0.753 0.885
O 0.567 0.284 0.233
O 0.573 0.009 0.236
O 0.574 0.575 0.739
O 0.583 0.849 0.733
O 0.606 0.343 0.884
O 0.609 0.487 0.387
O 0.618 0.762 0.379
O 0.632 0.052 0.887
O 0.715 0.145 0.737
O 0.718 0.587 0.225
O 0.739 0.348 0.032
O 0.749 0.758 0.893
O 0.752 0.924 0.392
O 0.753 0.193 0.381
O 0.764 0.482 0.883
O 0.766 0.336 0.530
O 0.836 0.013 0.229
O 0.840 0.591 0.724
O 0.849 0.673 0.489
O 0.853 0.909 0.630
O 0.884 0.883 0.982
O 0.888 0.876 0.806
O 0.895 0.661 0.315
O 0.906 0.182 0.894
O 0.907 0.658 0.137
O 0.911 0.335 0.383
O 0.990 0.295 0.738

RbTbMo2O8: optimized geometry, PBE with a Hubbard U.

Summary:
Crystal system: monoclinic

Unit cell a=7.555 b=7.555 c=7.785 alpha=118.07 beta=118.07 gamma=88.45
Atoms (fractional coordinates):
Rb 0.199 0.801 0.750
Rb 0.801 0.199 0.250
Tb 0.229 0.771 0.250
Tb 0.771 0.229 0.750
Mo 0.304 0.305 0.763
Mo 0.305 0.304 0.263
Mo 0.695 0.696 0.737
Mo 0.696 0.695 0.237
O 0.048 0.207 0.692
O 0.068 0.383 0.125
O 0.207 0.048 0.192
O 0.235 0.385 0.562
O 0.368 0.585 0.030
O 0.383 0.068 0.625
O 0.385 0.235 0.062
O 0.415 0.632 0.470
O 0.585 0.368 0.530
O 0.615 0.765 0.938
O 0.617 0.932 0.375
O 0.632 0.415 0.970
O 0.765 0.615 0.438
O 0.793 0.952 0.808
O 0.932 0.617 0.875
O 0.952 0.793 0.308

CsMo2P2O11: optimized geometry, PBE with a Hubbard U.

Summary:
Total moment in μB/f.u.: 1.00
Crystal system: monoclinic

Unit cell a=10.479 b=8.919 c=11.787 alpha=90.00 beta=103.90 gamma=90.00
Atoms (fractional coordinates):
Cs 0.096 0.236 0.074
Cs 0.096 0.264 0.574
Cs 0.904 0.736 0.426
Cs 0.904 0.764 0.926
Mo 0.200 0.724 0.227
Mo 0.200 0.776 0.727
Mo 0.389 0.247 0.890
Mo 0.389 0.253 0.390
Mo 0.611 0.747 0.610
Mo 0.611 0.753 0.110
Mo 0.800 0.224 0.273
Mo 0.800 0.276 0.773
P 0.294 0.588 0.987
P 0.294 0.912 0.487
P 0.480 0.081 0.165
P 0.480 0.419 0.665
P 0.520 0.581 0.335
P 0.520 0.919 0.835
P 0.706 0.088 0.513
P 0.706 0.412 0.013
O 0.055 0.632 0.229
O 0.055 0.868 0.729
O 0.159 0.615 0.644
O 0.159 0.885 0.144
O 0.210 0.680 0.883
O 0.210 0.820 0.383
O 0.219 0.598 0.087
O 0.219 0.902 0.587
O 0.243 0.161 0.825
O 0.243 0.339 0.325
O 0.293 0.079 0.454
O 0.293 0.421 0.954
O 0.384 0.659 0.300
O 0.384 0.841 0.800
O 0.396 0.119 0.252
O 0.396 0.381 0.752
O 0.403 0.136 0.044
O 0.403 0.364 0.544
O 0.432 0.651 0.025
O 0.432 0.849 0.525
O 0.496 0.591 0.666
O 0.496 0.909 0.166
O 0.504 0.091 0.834
O 0.504 0.409 0.334
O 0.568 0.151 0.475
O 0.568 0.349 0.975
O 0.597 0.636 0.456
O 0.597 0.864 0.956
O 0.604 0.619 0.248
O 0.604 0.881 0.748
O 0.616 0.159 0.200
O 0.616 0.341 0.700
O 0.707 0.579 0.046
O 0.707 0.921 0.546
O 0.757 0.661 0.675
O 0.757 0.839 0.175
O 0.781 0.098 0.413
O 0.781 0.402 0.913
O 0.790 0.180 0.617
O 0.790 0.320 0.117
O 0.841 0.115 0.856
O 0.841 0.385 0.356
O 0.945 0.132 0.271
O 0.945 0.368 0.771

MgFe6O6F6: optimized geometry, PBE with a Hubbard U.

Summary:
Total moment in μB/f.u.: 28.00
Crystal system: triclinic

Unit cell a=5.771 b=5.981 c=7.757 alpha=108.59 beta=97.57 gamma=111.57
Atoms (fractional coordinates):
Mg 0.000 0.000 0.000
Fe 0.012 0.975 0.513
Fe 0.013 0.505 0.010
Fe 0.384 0.965 0.813
Fe 0.385 0.555 0.347
Fe 0.621 0.071 0.215
Fe 0.679 0.462 0.651
O 0.278 0.862 0.026
O 0.383 0.163 0.655
O 0.608 0.364 0.388
O 0.673 0.874 0.357
O 0.735 0.152 0.997
O 0.982 0.829 0.708
F 0.061 0.188 0.297
F 0.094 0.706 0.321
F 0.276 0.342 0.042
F 0.430 0.666 0.647
F 0.739 0.644 0.943
F 0.936 0.320 0.701

no.,formation energy (eV/atom)
1,-2.560
2,-1.727
3,-1.831
4,-2.166
5,-2.570
6,-2.525
7,-2.389
8,-2.144